No. 1
LiCo4O8 | r²SCAN | relaxed

a = 5.5686 Å, b = 5.7827 Å, c = 9.6039 Å
α = 106.30°, β = 90.01°, γ = 118.76°
With the nearest neighbours (Å) after each atom.
Element x y z (fractional)
1 Li 0.0000 0.0000 0.0000  6 O 2.11-2.18
2 Li 0.4937 0.9998 0.4976  6 O 2.11-2.16
3 Co 0.9999 0.5002 0.9996  6 O 1.85-1.88
4 Co 0.2416 0.4999 0.7490  6 O 1.88-1.89
5 Co 0.2506 0.4990 0.2491  6 O 1.85-1.89
6 Co 0.4916 0.4978 0.4977  6 O 1.85-1.88
7 Co 0.4983 0.4967 0.9974  6 O 1.85-1.88
8 Co 0.7409 0.4992 0.7492  6 O 1.85-1.88
9 Co 0.7506 0.4997 0.2489  6 O 1.88-1.89
10 Co 0.9935 0.5016 0.4999  6 O 1.85-1.88
11 O 0.0911 0.7013 0.8680  3 Co 1.86-1.89
12 O 0.1027 0.7017 0.3678  3 Co 1.86-1.89
13 O 0.1442 0.3026 0.3823  3 Co 1.85-1.87
14 O 0.1454 0.2972 0.8832  3 Co 1.86-1.89
15 O 0.3407 0.7003 0.6143  3 Co 1.85-1.88
16 O 0.3509 0.6953 0.1154  3 Co 1.86-1.87
17 O 0.3902 0.2979 0.6294  3 Co 1.86-1.88
18 O 0.3999 0.2973 0.1294  3 Co 1.86-1.89
19 O 0.5947 0.7012 0.8656  3 Co 1.86-1.88
20 O 0.5989 0.7015 0.3655  3 Co 1.86-1.88
21 O 0.6449 0.2980 0.3835  3 Co 1.86-1.89
22 O 0.6506 0.3017 0.8819  3 Co 1.85-1.87
23 O 0.8373 0.6963 0.6158  3 Co 1.86-1.87
24 O 0.8517 0.6994 0.1140  3 Co 1.85-1.88
25 O 0.8860 0.2980 0.6325  3 Co 1.85-1.89
26 O 0.9042 0.2973 0.1326  3 Co 1.85-1.89



No. 2
TbTlTe2 | r²SCAN | relaxed

a = 8.5330 Å, b = 8.5330 Å, c = 8.5330 Å
α = 30.33°, β = 30.33°, γ = 30.33°
With the nearest neighbours (Å) after each atom.
Element x y z (fractional)
1 Tb 0.0000 0.0000 0.0000  6 Te 3.11
2 Tl 0.5000 0.5000 0.5000  6 Te 3.47
3 Te 0.2619 0.2619 0.2619  3 Tb 3.11, 3 Tl 3.47
4 Te 0.7381 0.7381 0.7381  3 Tb 3.11, 3 Tl 3.47



No. 3
CaNi4O8 | r²SCAN | relaxed

a = 5.6669 Å, b = 9.8084 Å, c = 6.4479 Å
α = 104.73°, β = 63.93°, γ = 90.01°
With the nearest neighbours (Å) after each atom.
Element x y z (fractional)
1 Ca 0.7500 0.7500 0.5000  6 O 2.36
2 Ca 0.2500 0.2500 0.5000  6 O 2.36
3 Ni 0.5000 0.5000 0.0000  6 O 1.99
4 Ni 0.0000 0.0000 0.0000  6 O 1.99
5 Ni 0.7500 0.7500 0.0000  6 O 1.87-1.89
6 Ni 0.7500 0.2500 0.0000  6 O 1.87-1.89
7 Ni 0.0000 0.5000 0.0000  6 O 1.87-1.89
8 Ni 0.2500 0.2500 0.0000  6 O 1.87-1.89
9 Ni 0.2500 0.7500 0.0000  6 O 1.87-1.89
10 Ni 0.5000 0.0000 0.0000  6 O 1.87-1.89
11 O 0.0857 0.6380 0.8285  3 Ni 1.89
12 O 0.5857 0.1380 0.8285  3 Ni 1.89
13 O 0.4143 0.8620 0.1715  3 Ni 1.89
14 O 0.9143 0.3620 0.1715  3 Ni 1.89
15 O 0.3531 0.8823 0.8223  3 Ni 1.87-1.99
16 O 0.8531 0.3823 0.8223  3 Ni 1.87-1.99
17 O 0.9112 0.8535 0.1777  3 Ni 1.87-1.99
18 O 0.4112 0.3535 0.1777  3 Ni 1.87-1.99
19 O 0.1469 0.6177 0.1777  3 Ni 1.87-1.99
20 O 0.6469 0.1177 0.1777  3 Ni 1.87-1.99
21 O 0.6754 0.6177 0.1777  3 Ni 1.87-1.99
22 O 0.1754 0.1177 0.1777  3 Ni 1.87-1.99
23 O 0.8246 0.8823 0.8223  3 Ni 1.87-1.99
24 O 0.3246 0.3823 0.8223  3 Ni 1.87-1.99
25 O 0.5888 0.6465 0.8223  3 Ni 1.87-1.99
26 O 0.0888 0.1465 0.8223  3 Ni 1.87-1.99



No. 4
Al3Co3Si4 | r²SCAN | relaxed

a = 6.9540 Å, b = 6.9540 Å, c = 6.9540 Å
α = 109.47°, β = 109.47°, γ = 109.47°
With the nearest neighbours (Å) after each atom.
Element x y z (fractional)
1 Al 0.2500 0.5000 0.7500  4 Co 2.41
2 Al 0.2500 0.7500 0.5000  4 Co 2.41
3 Al 0.5000 0.2500 0.7500  4 Co 2.41
4 Al 0.5000 0.7500 0.2500  4 Co 2.41
5 Al 0.7500 0.2500 0.5000  4 Co 2.41
6 Al 0.7500 0.5000 0.2500  4 Co 2.41
7 Co 0.0000 0.3350 0.3350  4 Si 2.30, 4 Al 2.41
8 Co 0.0000 0.6650 0.6650  4 Si 2.30, 4 Al 2.41
9 Co 0.3350 0.0000 0.3350  4 Si 2.30, 4 Al 2.41
10 Co 0.3350 0.3350 0.0000  4 Si 2.30, 4 Al 2.41
11 Co 0.6650 0.0000 0.6650  4 Si 2.30, 4 Al 2.41
12 Co 0.6650 0.6650 0.0000  4 Si 2.30, 4 Al 2.41
13 Si 0.0000 0.0000 0.3220  3 Co 2.30, 1 Si 2.48
14 Si 0.0000 0.0000 0.6780  3 Co 2.30, 1 Si 2.48
15 Si 0.0000 0.3220 0.0000  3 Co 2.30, 1 Si 2.48
16 Si 0.0000 0.6780 0.0000  3 Co 2.30, 1 Si 2.48
17 Si 0.3220 0.0000 0.0000  3 Co 2.30, 1 Si 2.48
18 Si 0.3220 0.3220 0.3220  3 Co 2.30, 1 Si 2.48
19 Si 0.6780 0.0000 0.0000  3 Co 2.30, 1 Si 2.48
20 Si 0.6780 0.6780 0.6780  3 Co 2.30, 1 Si 2.48



No. 5
LiHo2Rh | r²SCAN | relaxed

a = 4.8921 Å, b = 4.8921 Å, c = 4.8921 Å
α = 59.79°, β = 59.79°, γ = 59.79°
With the nearest neighbours (Å) after each atom.
Element x y z (fractional)
1 Li 0.0000 0.0000 0.0000  8 Ho 2.99-3.00
2 Ho 0.2496 0.2496 0.2496  4 Rh 2.99-3.01, 4 Li 2.99-3.00
3 Ho 0.7504 0.7504 0.7504  4 Rh 2.99-3.01, 4 Li 2.99-3.00
4 Rh 0.5000 0.5000 0.5000  8 Ho 2.99-3.01



No. 6
CaBiO3 | r²SCAN | relaxed

a = 5.7583 Å, b = 6.0255 Å, c = 10.1181 Å
α = 90.00°, β = 124.58°, γ = 90.00°
With the nearest neighbours (Å) after each atom.
Element x y z (fractional)
1 Ca 0.2295 0.0590 0.2477  4 O 2.34-2.42
2 Ca 0.2295 0.4410 0.7477  4 O 2.34-2.42
3 Ca 0.7705 0.5590 0.2523  4 O 2.34-2.42
4 Ca 0.7705 0.9410 0.7523  4 O 2.34-2.42
5 Bi 0.0000 0.0000 0.5000  6 O 2.30-2.36
6 Bi 0.0000 0.5000 0.0000  6 O 2.30-2.36
7 Bi 0.5000 0.0000 0.0000  6 O 2.12-2.15
8 Bi 0.5000 0.5000 0.5000  6 O 2.12-2.15
9 O 0.1363 0.1841 0.9343  2 Bi 2.12-2.30, 1 Ca 2.36
10 O 0.1363 0.3159 0.4343  2 Bi 2.12-2.30, 1 Ca 2.36
11 O 0.2471 0.7070 0.9239  2 Bi 2.14-2.33, 1 Ca 2.36
12 O 0.2471 0.7930 0.4239  2 Bi 2.14-2.33, 1 Ca 2.36
13 O 0.3972 0.0664 0.7639  2 Bi 2.15-2.36, 1 Ca 2.34
14 O 0.3972 0.4336 0.2639  2 Bi 2.15-2.36, 1 Ca 2.34
15 O 0.6028 0.5664 0.7361  2 Bi 2.15-2.36, 1 Ca 2.34
16 O 0.6028 0.9336 0.2361  2 Bi 2.15-2.36, 1 Ca 2.34
17 O 0.7529 0.2070 0.5761  2 Bi 2.14-2.33, 1 Ca 2.36
18 O 0.7529 0.2930 0.0761  2 Bi 2.14-2.33, 1 Ca 2.36
19 O 0.8637 0.6841 0.5657  2 Bi 2.12-2.30, 1 Ca 2.36
20 O 0.8637 0.8159 0.0657  2 Bi 2.12-2.30, 1 Ca 2.36



No. 7
LaGa2Ni3 | r²SCAN | relaxed

a = 8.9066 Å, b = 8.9066 Å, c = 4.1217 Å
α = 90.00°, β = 90.00°, γ = 120.00°
With the nearest neighbours (Å) after each atom.
Element x y z (fractional)
1 La 0.0000 0.0000 0.0000  6 Ni 2.88, 6 Ga 3.20
2 La 0.3333 0.6667 0.5000  9 Ni 3.07-3.20, 9 Ga 3.26-3.31
3 La 0.6667 0.3333 0.5000  9 Ni 3.07-3.20, 9 Ga 3.26-3.31
4 Ga 0.0000 0.2745 0.5000  6 Ni 2.43-2.50
5 Ga 0.0000 0.5312 0.0000  6 Ni 2.39-2.62
6 Ga 0.2745 0.0000 0.5000  6 Ni 2.43-2.50
7 Ga 0.4688 0.4688 0.0000  6 Ni 2.39-2.62
8 Ga 0.5312 0.0000 0.0000  6 Ni 2.39-2.62
9 Ga 0.7255 0.7255 0.5000  6 Ni 2.43-2.50
10 Ni 0.0000 0.7136 0.5000  4 Ga 2.50-2.62, 4 Ni 2.61
11 Ni 0.1659 0.3724 0.0000  4 Ga 2.39-2.50, 3 Ni 2.56-2.61
12 Ni 0.2066 0.8341 0.0000  4 Ga 2.39-2.50, 3 Ni 2.56-2.61
13 Ni 0.2864 0.2864 0.5000  4 Ga 2.50-2.62, 4 Ni 2.61
14 Ni 0.3724 0.1659 0.0000  4 Ga 2.39-2.50, 3 Ni 2.56-2.61
15 Ni 0.6276 0.7934 0.0000  4 Ga 2.39-2.50, 3 Ni 2.56-2.61
16 Ni 0.7136 0.0000 0.5000  4 Ga 2.50-2.62, 4 Ni 2.61
17 Ni 0.7934 0.6276 0.0000  4 Ga 2.39-2.50, 3 Ni 2.56-2.61
18 Ni 0.8341 0.2066 0.0000  4 Ga 2.39-2.50, 3 Ni 2.56-2.61



No. 8
Gd4Ga16Co3 | r²SCAN | relaxed

a = 5.9994 Å, b = 5.9994 Å, c = 11.0466 Å
α = 90.00°, β = 90.00°, γ = 90.00°
With the nearest neighbours (Å) after each atom.
Element x y z (fractional)
1 Gd 0.0000 0.5000 0.1956  12 Ga 2.99-3.04
2 Gd 0.0000 0.5000 0.8044  12 Ga 2.99-3.04
3 Gd 0.5000 0.0000 0.1956  12 Ga 2.99-3.04
4 Gd 0.5000 0.0000 0.8044  12 Ga 2.99-3.04
5 Ga 0.0000 0.0000 0.1938  8 Ga 2.83-3.00, 4 Gd 3.00
6 Ga 0.0000 0.0000 0.8062  8 Ga 2.83-3.00, 4 Gd 3.00
7 Ga 0.2189 0.2189 0.0000  1 Co 2.38, 2 Ga 2.63
8 Ga 0.2189 0.7811 0.0000  1 Co 2.38, 2 Ga 2.63
9 Ga 0.2508 0.2508 0.3858  2 Co 2.47, 1 Ga 2.52
10 Ga 0.2508 0.2508 0.6142  2 Co 2.47, 1 Ga 2.52
11 Ga 0.2508 0.7492 0.3858  2 Co 2.47, 1 Ga 2.52
12 Ga 0.2508 0.7492 0.6142  2 Co 2.47, 1 Ga 2.52
13 Ga 0.5000 0.5000 0.2191  1 Co 2.42
14 Ga 0.5000 0.5000 0.7809  1 Co 2.42
15 Ga 0.7492 0.2508 0.3858  2 Co 2.47, 1 Ga 2.52
16 Ga 0.7492 0.2508 0.6142  2 Co 2.47, 1 Ga 2.52
17 Ga 0.7492 0.7492 0.3858  2 Co 2.47, 1 Ga 2.52
18 Ga 0.7492 0.7492 0.6142  2 Co 2.47, 1 Ga 2.52
19 Ga 0.7811 0.2189 0.0000  1 Co 2.38, 2 Ga 2.63
20 Ga 0.7811 0.7811 0.0000  1 Co 2.38, 2 Ga 2.63
21 Co 0.0000 0.5000 0.5000  8 Ga 2.47
22 Co 0.5000 0.0000 0.5000  8 Ga 2.47
23 Co 0.5000 0.5000 0.0000  6 Ga 2.38-2.42



| no. | ΔE_f (kcal/mol of atoms) |
| --- | --- |
| 1 | -28.947 |
| 2 | -29.066 |
| 3 | -32.219 |
| 4 | -8.371 |
| 5 | -12.413 |
| 6 | -46.526 |
| 7 | -11.720 |
| 8 | -11.624 |